[1]
This record from the Materials Project database describes Ba2ThCrTe7 after structural relaxation. The functional is PBE.

```
Ba2ThCrTe7
1.0
12.806 0.000 0.000
0.000 6.263 0.000
0.000 0.000 19.108
Ba Th Cr Te
8 4 4 28
direct
0.053 0.250 0.224
0.178 0.250 0.556
0.322 0.750 0.056
0.447 0.750 0.724
0.553 0.250 0.276
0.678 0.250 0.944
0.822 0.750 0.444
0.947 0.750 0.776
0.208 0.250 0.875
0.292 0.750 0.375
0.708 0.250 0.625
0.792 0.750 0.125
0.000 0.000 0.000
0.000 0.500 0.000
0.500 0.000 0.500
0.500 0.500 0.500
0.042 0.750 0.118
0.075 0.502 0.398
0.075 0.998 0.398
0.137 0.750 0.915
0.171 0.250 0.041
0.193 0.003 0.729
0.193 0.497 0.729
0.307 0.503 0.229
0.307 0.997 0.229
0.329 0.750 0.541
0.363 0.250 0.415
0.425 0.002 0.898
0.425 0.498 0.898
0.458 0.250 0.618
0.542 0.750 0.382
0.575 0.502 0.102
0.575 0.998 0.102
0.637 0.750 0.585
0.671 0.250 0.459
0.693 0.003 0.771
0.693 0.497 0.771
0.807 0.503 0.271
0.807 0.997 0.271
0.829 0.750 0.959
0.863 0.250 0.085
0.925 0.002 0.602
0.925 0.498 0.602
0.958 0.250 0.882
```

=====

[2]
This record from the Materials Project database describes Ti3Ni after structural relaxation. The functional is PBE.

```
Ti3Ni
1.0
3.935 0.000 0.000
0.000 3.935 0.000
0.000 0.000 3.935
Ti Ni
3 1
direct
0.000 0.000 0.500
0.000 0.500 0.000
0.500 0.000 0.000
0.500 0.500 0.500
```

=====

no.,calculated volume (Å³ per atom),calculated total energy (eV/cell)
1,34.8,-214.9
2,15.2,-29.8